Computed, not measured: crystalline Li2MnCo2O6 at its relaxed geometry at the GGA+U level of DFT.

```
Li2MnCo2O6
1.0
2.0913 -0.2264 5.3320
-3.0959 4.8418 1.5603
-4.5645 -4.9313 0.0997
Li O Co Mn
4 12 4 2
direct
0.0000 0.5000 0.5000
0.5000 0.5000 0.5000
0.8158 0.8439 0.8508
0.1842 0.1561 0.1492
0.4026 0.4385 0.1572
0.7456 0.2167 0.4960
0.2544 0.7833 0.5040
0.4213 0.8917 0.1964
0.9289 0.4550 0.1727
0.2473 0.2225 0.5003
0.5787 0.1083 0.8036
0.0711 0.5450 0.8273
0.9389 0.9027 0.1909
0.7527 0.7775 0.4997
0.5974 0.5615 0.8428
0.0611 0.0973 0.8091
0.6689 0.6587 0.1576
0.1686 0.6699 0.1650
0.8314 0.3301 0.8350
0.3311 0.3413 0.8424
0.0000 0.0000 0.5000
0.5000 0.0000 0.5000
```

The calculation puts the size of the total moment at 5.00 μB/f.u. The energy relative to the lowest polymorph listed for this composition is 4.0 meV/atom.



Computed, not measured: crystalline Cr2NiO4 at its relaxed geometry at the GGA+U level of DFT.

```
Cr2NiO4
1.0
-1.6764 4.9120 -2.9577
5.1598 -0.0694 3.0886
5.1917 -0.0142 -2.9494
O Ni Cr
8 2 4
direct
0.7585 0.4705 0.7631
0.2343 0.9711 0.7884
0.2182 0.4782 0.7601
0.7611 0.0252 0.2173
0.7615 0.0277 0.7557
0.7830 0.5267 0.2350
0.2418 0.5248 0.2361
0.2383 0.9785 0.2394
0.6291 0.7491 0.6258
0.3733 0.2489 0.3792
0.9999 0.4989 0.0001
0.9998 0.0007 0.9999
0.5003 0.9992 0.0006
0.0009 0.5007 0.4992
```

The calculation puts the size of the total moment at 7.97 μB/f.u. The energy relative to the lowest polymorph listed for this composition is 10.2 meV/atom.



Computed, not measured: crystalline Li3Fe2P4HO14 at its relaxed geometry at the GGA+U level of DFT.

```
Li3Fe2P4HO14
1.0
-4.9171 -1.2681 1.1677
2.0099 -1.2604 8.1978
-4.4339 11.2053 4.7152
Fe Li O P H
4 6 28 8 2
direct
0.3743 0.9184 0.7686
0.1251 0.5818 0.2316
0.8748 0.4182 0.7685
0.6258 0.0815 0.2313
0.1948 0.9486 0.0587
0.8051 0.0515 0.9414
0.5002 0.0000 0.4999
0.0005 0.4999 0.4999
0.3051 0.5516 0.9414
0.6949 0.4485 0.0586
0.1098 0.3098 0.2653
0.1644 0.4096 0.6336
0.6273 0.2471 0.8785
0.8901 0.6902 0.7346
0.8580 0.0587 0.3500
0.5199 0.2431 0.5363
0.3903 0.1902 0.7346
0.3572 0.5588 0.3504
0.6096 0.8097 0.2654
0.3147 0.1206 0.1354
0.3361 0.0904 0.3662
0.1855 0.3796 0.8645
0.6639 0.9095 0.6337
0.8728 0.2530 0.1214
0.7093 0.5753 0.9148
0.2093 0.0754 0.9148
0.3726 0.7529 0.1215
0.8145 0.6204 0.1355
0.7905 0.9247 0.0853
0.0197 0.7433 0.5364
0.1420 0.9413 0.6500
0.6425 0.4412 0.6498
0.1272 0.7471 0.8785
0.8356 0.5903 0.3664
0.9805 0.2566 0.4636
0.2907 0.4248 0.0852
0.6853 0.8795 0.8646
0.4803 0.7570 0.4637
0.8489 0.7282 0.8575
0.1511 0.2719 0.1424
0.3491 0.2282 0.8575
0.9328 0.8335 0.6318
0.6508 0.7718 0.1426
0.4332 0.3334 0.6317
0.0672 0.1665 0.3682
0.5667 0.6666 0.3684
0.2496 0.7501 0.5001
0.7505 0.2498 0.4999
```

The calculation puts the size of the total moment at 0.00 μB/f.u. The energy relative to the lowest polymorph listed for this composition is 0.0 meV/atom.



Computed, not measured: crystalline Li4Cr3Co5O16 at its relaxed geometry at the GGA+U level of DFT.

```
Li4Cr3Co5O16
1.0
0.1933 -4.2498 -3.8923
-2.6188 -0.8940 5.1140
-8.0948 3.0443 -3.7911
O Cr Co Li
16 3 5 4
direct
0.8254 0.1583 0.8999
0.6674 0.8298 0.3909
0.1481 0.3209 0.4014
0.5352 0.4885 0.1610
0.4946 0.5326 0.6602
0.5348 0.0380 0.1644
0.3499 0.6792 0.8949
0.9679 0.4821 0.1700
0.8381 0.6737 0.8922
0.0412 0.5285 0.6630
0.3220 0.1534 0.9009
0.4834 0.9644 0.6665
0.9849 0.9931 0.1920
0.9874 0.9930 0.6893
0.6833 0.3412 0.3897
0.1514 0.8289 0.3970
0.3392 0.1712 0.2850
0.1725 0.3411 0.7865
0.1689 0.8354 0.7897
0.6594 0.8310 0.7833
0.3213 0.6611 0.5095
0.8296 0.1693 0.2855
0.8333 0.6632 0.2874
0.6720 0.3272 0.0125
0.9812 0.9917 0.0042
0.3468 0.6718 0.1087
0.9849 0.9936 0.5024
0.6760 0.3373 0.6045
```

The calculation puts the size of the total moment at 19.03 μB/f.u.



Computed, not measured: crystalline LiV2P3O12 at its relaxed geometry at the GGA+U level of DFT.

```
LiV2P3O12
1.0
8.5707 0.0000 0.0000
0.0000 8.5368 0.0000
0.0000 8.5059 12.1300
O P V Li
48 12 8 4
direct
0.7135 0.9642 0.6693
0.1331 0.4859 0.5702
0.0073 0.0127 0.2752
0.4455 0.7682 0.5402
0.9981 0.6148 0.2416
0.6031 0.0570 0.3691
0.8969 0.0570 0.8691
0.0696 0.8732 0.4724
0.5545 0.2318 0.4598
0.8400 0.5984 0.5670
0.2228 0.6679 0.6719
0.0776 0.2343 0.3295
0.3627 0.3151 0.5758
0.6600 0.5984 0.0670
0.4927 0.0127 0.7752
0.8627 0.6849 0.9242
0.0019 0.3852 0.7584
0.9927 0.9873 0.7248
0.4981 0.3852 0.2584
0.6331 0.5141 0.9298
0.6373 0.6849 0.4242
0.4304 0.8732 0.9724
0.0545 0.7682 0.0402
0.7228 0.3321 0.8281
0.3669 0.4859 0.0702
0.5776 0.7657 0.1705
0.9304 0.1268 0.5276
0.3400 0.4016 0.9330
0.2135 0.0358 0.8307
0.2865 0.0358 0.3307
0.1757 0.6664 0.9082
0.8669 0.5141 0.4298
0.9224 0.7657 0.6705
0.1600 0.4016 0.4330
0.7772 0.3321 0.3281
0.1031 0.9430 0.1309
0.6757 0.3336 0.5918
0.5073 0.9873 0.2248
0.9455 0.2318 0.9598
0.8243 0.3336 0.0918
0.7865 0.9642 0.1693
0.1373 0.3151 0.0758
0.3243 0.6664 0.4082
0.3969 0.9430 0.6309
0.5696 0.1268 0.0276
0.5019 0.6148 0.7416
0.2772 0.6679 0.1719
0.4224 0.2343 0.8295
0.6090 0.9643 0.1462
0.8910 0.2518 0.8555
0.8910 0.9643 0.6462
0.6090 0.2518 0.3555
0.2476 0.4714 0.4946
0.1090 0.0357 0.3538
0.3910 0.0357 0.8538
0.1090 0.7482 0.1445
0.2524 0.4714 0.9946
0.3910 0.7482 0.6445
0.7476 0.5286 0.0054
0.7524 0.5286 0.5054
0.9688 0.3590 0.3834
0.0324 0.8571 0.8888
0.5312 0.3590 0.8834
0.4676 0.8571 0.3888
0.9676 0.1429 0.1112
0.5324 0.1429 0.6112
0.0312 0.6410 0.6166
0.4688 0.6410 0.1166
0.9113 0.7720 0.2969
0.5887 0.7720 0.7969
0.0887 0.2280 0.7031
0.4113 0.2280 0.2031
```

The calculation puts the size of the total moment at 2.00 μB/f.u. The energy relative to the lowest polymorph listed for this composition is 12.7 meV/atom.



Computed, not measured: crystalline BaMnO3 at its relaxed geometry at the GGA+U level of DFT.

```
BaMnO3
1.0
-0.5671 7.4074 2.6695
-5.3770 4.4111 3.7345
-0.6910 3.5953 6.9938
O Ba Mn
9 3 3
direct
0.5000 0.5000 0.0000
0.5000 0.0000 0.5000
0.7055 0.7055 0.2642
0.2642 0.7055 0.7055
0.2945 0.7358 0.2945
0.0000 0.5000 0.5000
0.7358 0.2945 0.2945
0.2945 0.2945 0.7358
0.7055 0.2642 0.7055
0.0000 0.0000 0.0000
0.7793 0.7793 0.7793
0.2207 0.2207 0.2207
0.6188 0.6188 0.6188
0.3812 0.3812 0.3812
0.5000 0.5000 0.5000
```



Computed, not measured: crystalline MgMn3V2O10 at its relaxed geometry at the GGA+U level of DFT.

```
MgMn3V2O10
1.0
-2.7775 -0.7720 4.3946
0.3387 -4.8017 -1.6532
6.6768 2.6685 3.6197
Mg O Mn V
1 10 3 2
direct
0.7402 0.0682 0.5767
0.5954 0.1091 0.3392
0.8784 0.6843 0.4679
0.1699 0.4555 0.2079
0.9823 0.9167 0.1395
0.0916 0.3000 0.5137
0.8152 0.5122 0.7762
0.9793 0.0685 0.8237
0.6594 0.2620 0.0740
0.4326 0.8851 0.6590
0.3325 0.7231 0.9227
0.6853 0.8681 0.8935
0.3186 0.1113 0.1221
0.9974 0.4932 0.9970
0.1306 0.7224 0.6814
0.8915 0.3083 0.3222
```

The calculation puts the size of the total moment at 13.01 μB/f.u. The energy relative to the lowest polymorph listed for this composition is 0.0 meV/atom.



Computed, not measured: crystalline Ba3CoO5 at its relaxed geometry at the GGA+U level of DFT.

```
Ba3CoO5
1.0
-6.9678 0.8694 -2.2989
0.6429 -6.0256 -4.2273
-3.7675 -6.6491 8.9047
O Co Ba
20 4 12
direct
0.3632 0.8632 0.3437
0.6368 0.8632 0.1563
0.6368 0.1368 0.3437
0.8632 0.6368 0.6563
0.3632 0.1368 0.8437
0.1368 0.6368 0.1563
0.3632 0.8632 0.6563
0.5000 0.5000 0.5000
0.8632 0.3632 0.8437
0.1368 0.3632 0.3437
0.8632 0.3632 0.1563
0.6368 0.8632 0.8437
0.0000 0.0000 0.0000
0.1368 0.6368 0.8437
0.6368 0.1368 0.6563
0.3632 0.1368 0.1563
0.0000 0.0000 0.5000
0.1368 0.3632 0.6563
0.5000 0.5000 0.0000
0.8632 0.6368 0.3437
0.5000 0.0000 0.2500
0.0000 0.5000 0.7500
0.5000 0.0000 0.7500
0.0000 0.5000 0.2500
0.8239 0.6761 0.0000
0.6761 0.1761 0.0000
0.1761 0.3239 0.0000
0.1761 0.6761 0.5000
0.8239 0.3239 0.5000
0.3239 0.1761 0.5000
0.0000 0.0000 0.7500
0.5000 0.5000 0.7500
0.5000 0.5000 0.2500
0.6761 0.8239 0.5000
0.3239 0.8239 0.0000
0.0000 0.0000 0.2500
```

The calculation puts the size of the total moment at 0.00 μB/f.u.



Computed, not measured: crystalline Li2Ti3FeO8 at its relaxed geometry at the GGA+U level of DFT.

```
Li2Ti3FeO8
1.0
-5.3012 -6.0900 2.6457
6.6109 -5.1568 1.3759
0.6196 2.9170 7.9559
O Li Ti Fe
32 8 12 4
direct
0.3905 0.1033 0.1268
0.8905 0.3967 0.8732
0.8732 0.8905 0.3967
0.1461 0.8590 0.1223
0.3893 0.3893 0.3893
0.8967 0.6268 0.1095
0.8590 0.1223 0.1461
0.1386 0.3614 0.6386
0.1268 0.3905 0.1033
0.3732 0.6095 0.6033
0.6107 0.8893 0.1107
0.8614 0.8614 0.8614
0.8777 0.6461 0.6410
0.8539 0.3590 0.3777
0.3967 0.8732 0.8905
0.6033 0.3732 0.6095
0.3539 0.1410 0.6223
0.8893 0.1107 0.6107
0.3590 0.3777 0.8539
0.6410 0.8777 0.6461
0.1107 0.6107 0.8893
0.1095 0.8967 0.6268
0.3777 0.8539 0.3590
0.6223 0.3539 0.1410
0.1033 0.1268 0.3905
0.6268 0.1095 0.8967
0.6461 0.6410 0.8777
0.1223 0.1461 0.8590
0.1410 0.6223 0.3539
0.6386 0.1386 0.3614
0.6095 0.6033 0.3732
0.3614 0.6386 0.1386
0.7467 0.7533 0.2467
0.1260 0.8740 0.3740
0.6260 0.6260 0.6260
0.2533 0.2533 0.2533
0.3740 0.1260 0.8740
0.8740 0.3740 0.1260
0.7533 0.2467 0.7467
0.2467 0.7467 0.7533
0.6284 0.3836 0.3782
0.1164 0.6218 0.1284
0.6164 0.8782 0.8716
0.8716 0.6164 0.8782
0.8782 0.8716 0.6164
0.8836 0.1218 0.3716
0.3836 0.3782 0.6284
0.1218 0.3716 0.8836
0.3716 0.8836 0.1218
0.3782 0.6284 0.3836
0.6218 0.1284 0.1164
0.1284 0.1164 0.6218
0.5015 0.0015 0.4985
0.0015 0.4985 0.5015
0.9985 0.9985 0.9985
0.4985 0.5015 0.0015
```

The calculation puts the size of the total moment at 4.00 μB/f.u. The energy relative to the lowest polymorph listed for this composition is 55.2 meV/atom.



Computed, not measured: crystalline Sr2MgZrMnO6 at its relaxed geometry at the GGA+U level of DFT.

```
Sr2MgZrMnO6
1.0
2.7066 4.5419 -3.8671
0.7702 -0.4171 -6.4917
-3.1194 3.5985 -4.4977
Sr O Mg Zr Mn
2 6 1 1 1
direct
0.7120 0.7120 0.7120
0.3156 0.3156 0.3156
0.7520 0.2383 0.2383
0.2383 0.2383 0.7520
0.2383 0.7520 0.2383
0.2713 0.7474 0.7474
0.7474 0.2713 0.7474
0.7474 0.7474 0.2713
0.1330 0.1330 0.1330
0.9717 0.9717 0.9717
0.5040 0.5040 0.5040
```

The calculation puts the size of the total moment at 5.00 μB/f.u. The energy relative to the lowest polymorph listed for this composition is 91.7 meV/atom.



Computed, not measured: crystalline Mg6CrNiO8 at its relaxed geometry at the GGA+U level of DFT.

```
Mg6CrNiO8
1.0
-7.7806 2.3833 2.2541
-1.3619 -0.6257 -4.0393
-0.9731 -4.0856 0.9609
O Mg Cr Ni
8 6 1 1
direct
0.0000 0.0000 0.5000
0.7480 0.0000 0.0000
0.7500 0.5000 0.5000
0.5000 0.0000 0.5000
0.2520 0.0000 0.0000
0.0000 0.5000 0.0000
0.5000 0.5000 0.0000
0.2500 0.5000 0.5000
0.7516 0.5000 0.0000
0.2484 0.5000 0.0000
0.5000 0.5000 0.5000
0.5000 0.0000 0.0000
0.7516 0.0000 0.5000
0.2484 0.0000 0.5000
0.0000 0.5000 0.5000
0.0000 0.0000 0.0000
```

The calculation puts the size of the total moment at 5.77 μB/f.u.



Number 1: volume 217.9 Å³ per cell, total DFT energy (no corrections) -0.4436 Ry per atom, energy of formation -1689 meV/atom. Number 2: volume 152.2 Å³ per cell, total DFT energy (no corrections) -0.5229 Ry per atom, energy of formation -2031 meV/atom. Number 3: volume 558.8 Å³ per cell, total DFT energy (no corrections) -0.4944 Ry per atom, energy of formation -2441 meV/atom. Number 4: volume 275.0 Å³ per cell, total DFT energy (no corrections) -0.4571 Ry per atom, energy of formation -1715 meV/atom. Number 5: volume 887.5 Å³ per cell, total DFT energy (no corrections) -0.5374 Ry per atom, energy of formation -2643 meV/atom. Number 6: volume 206.1 Å³ per cell, total DFT energy (no corrections) -0.5076 Ry per atom, energy of formation -2467 meV/atom. Number 7: volume 190.4 Å³ per cell, total DFT energy (no corrections) -0.5397 Ry per atom, energy of formation -2252 meV/atom. Number 8: volume 640.6 Å³ per cell, total DFT energy (no corrections) -0.4451 Ry per atom, energy of formation -2442 meV/atom. Number 9: volume 613.4 Å³ per cell, total DFT energy (no corrections) -0.5724 Ry per atom, energy of formation -2945 meV/atom. Number 10: volume 170.3 Å³ per cell, total DFT energy (no corrections) -0.5137 Ry per atom, energy of formation -2754 meV/atom. Number 11: volume 156.7 Å³ per cell, total DFT energy (no corrections) -0.4440 Ry per atom, energy of formation -2629 meV/atom.